Na2Ca4Zr4SiS11O48 after structural relaxation. Source: Materials Project, functional PBE.

DFT formation energy: -2.552 eV per atom
magnetization: 0.0 μB per formula unit

Cell lengths 9.113, 15.778, 23.724 Å; angles 89.98, 89.97, 89.99 degrees
Fractional coordinates of all 210 atoms:
Na: 0.000 0.000 0.000
Na: 0.000 0.001 0.509
Na: 0.507 0.502 0.011
Na: 0.508 0.506 0.504
Na: 0.514 0.844 0.848
Na: 0.999 0.342 0.341
Ca: 0.000 0.005 0.861
Ca: 0.001 0.006 0.358
Ca: 0.002 0.006 0.658
Ca: 0.002 0.677 0.533
Ca: 0.003 0.008 0.157
Ca: 0.501 0.174 0.821
Ca: 0.501 0.505 0.859
Ca: 0.501 0.508 0.657
Ca: 0.502 0.838 0.483
Ca: 0.505 0.503 0.156
Ca: 0.506 0.504 0.360
Ca: 0.509 0.840 0.985
Zr: 0.000 0.676 0.323
Zr: 0.001 0.341 0.698
Zr: 0.501 0.841 0.193
Zr: 0.504 0.842 0.691
Zr: 0.505 0.175 0.030
Zr: 0.506 0.177 0.530
Zr: 0.510 0.178 0.322
Zr: 0.992 0.341 0.189
Zr: 0.994 0.343 0.486
Zr: 0.994 0.343 0.986
Zr: 0.997 0.679 0.822
Zr: 0.998 0.682 0.028
Si: 0.645 0.320 0.427
Si: 0.707 0.342 0.088
Si: 0.854 0.823 0.924
S: 0.143 0.486 0.089
S: 0.144 0.820 0.424
S: 0.145 0.529 0.425
S: 0.146 0.198 0.089
S: 0.147 0.156 0.756
S: 0.155 0.858 0.758
S: 0.203 0.508 0.758
S: 0.212 0.840 0.091
S: 0.215 0.175 0.426
S: 0.285 0.672 0.925
S: 0.286 0.339 0.589
S: 0.302 0.008 0.258
S: 0.348 0.357 0.258
S: 0.351 0.657 0.258
S: 0.355 0.319 0.928
S: 0.356 0.031 0.926
S: 0.357 0.987 0.589
S: 0.360 0.695 0.591
S: 0.644 0.033 0.425
S: 0.646 0.987 0.091
S: 0.648 0.696 0.091
S: 0.649 0.658 0.758
S: 0.651 0.361 0.756
S: 0.703 0.005 0.756
S: 0.714 0.673 0.424
S: 0.791 0.843 0.590
S: 0.793 0.175 0.927
S: 0.805 0.507 0.258
S: 0.850 0.858 0.257
S: 0.855 0.158 0.258
S: 0.858 0.482 0.592
S: 0.859 0.198 0.590
S: 0.860 0.532 0.926
O: 0.069 0.568 0.082
O: 0.073 0.441 0.430
O: 0.075 0.123 0.807
O: 0.076 0.904 0.417
O: 0.077 0.244 0.744
O: 0.079 0.568 0.374
O: 0.080 0.114 0.094
O: 0.080 0.443 0.140
O: 0.081 0.780 0.474
O: 0.083 0.242 0.039
O: 0.088 0.892 0.707
O: 0.094 0.770 0.768
O: 0.103 0.581 0.769
O: 0.104 0.765 0.373
O: 0.105 0.432 0.746
O: 0.112 0.430 0.039
O: 0.113 0.912 0.099
O: 0.114 0.577 0.476
O: 0.119 0.101 0.422
O: 0.120 0.105 0.706
O: 0.120 0.251 0.141
O: 0.122 0.760 0.086
O: 0.124 0.254 0.433
O: 0.139 0.910 0.808
O: 0.185 0.344 0.249
O: 0.189 0.349 0.539
O: 0.189 0.663 0.976
O: 0.189 0.678 0.873
O: 0.190 0.670 0.270
O: 0.194 0.027 0.925
O: 0.194 0.328 0.640
O: 0.194 0.328 0.940
O: 0.198 0.000 0.597
O: 0.200 0.690 0.590
O: 0.214 0.026 0.208
O: 0.214 0.989 0.307
O: 0.291 0.489 0.808
O: 0.291 0.524 0.708
O: 0.301 0.495 0.094
O: 0.301 0.852 0.041
O: 0.303 0.517 0.418
O: 0.303 0.825 0.425
O: 0.304 0.171 0.763
O: 0.306 0.187 0.375
O: 0.308 0.191 0.082
O: 0.309 0.829 0.142
O: 0.310 0.165 0.477
O: 0.319 0.846 0.748
O: 0.366 0.605 0.208
O: 0.367 0.410 0.309
O: 0.371 0.750 0.928
O: 0.374 0.271 0.876
O: 0.376 0.261 0.581
O: 0.377 0.596 0.922
O: 0.381 0.413 0.593
O: 0.384 0.935 0.540
O: 0.398 0.084 0.977
O: 0.400 0.750 0.642
O: 0.400 0.932 0.245
O: 0.401 0.082 0.270
O: 0.412 0.270 0.270
O: 0.413 0.745 0.245
O: 0.416 0.070 0.875
O: 0.417 0.391 0.208
O: 0.419 0.945 0.931
O: 0.420 0.273 0.978
O: 0.422 0.404 0.926
O: 0.422 0.735 0.541
O: 0.422 0.946 0.641
O: 0.423 0.623 0.308
O: 0.427 0.611 0.598
O: 0.430 0.072 0.583
O: 0.571 0.071 0.085
O: 0.574 0.412 0.425
O: 0.575 0.951 0.430
O: 0.579 0.944 0.143
O: 0.580 0.622 0.808
O: 0.581 0.265 0.481
O: 0.583 0.077 0.374
O: 0.585 0.735 0.041
O: 0.586 0.612 0.100
O: 0.587 0.400 0.706
O: 0.587 0.746 0.749
O: 0.593 0.275 0.764
O: 0.604 0.926 0.746
O: 0.605 0.077 0.763
O: 0.607 0.087 0.476
O: 0.607 0.425 0.091
O: 0.612 0.260 0.370
O: 0.614 0.254 0.078
O: 0.618 0.751 0.142
O: 0.620 0.599 0.417
O: 0.621 0.935 0.041
O: 0.629 0.607 0.707
O: 0.630 0.752 0.425
O: 0.637 0.413 0.807
O: 0.678 0.823 0.922
O: 0.689 0.845 0.246
O: 0.690 0.837 0.642
O: 0.692 0.166 0.977
O: 0.692 0.168 0.267
O: 0.696 0.191 0.582
O: 0.698 0.487 0.594
O: 0.700 0.855 0.540
O: 0.701 0.521 0.922
O: 0.709 0.191 0.876
O: 0.718 0.488 0.309
O: 0.719 0.524 0.208
O: 0.790 0.985 0.807
O: 0.793 0.016 0.706
O: 0.803 0.000 0.100
O: 0.805 0.029 0.422
O: 0.806 0.661 0.474
O: 0.812 0.668 0.768
O: 0.812 0.689 0.085
O: 0.817 0.328 0.144
O: 0.817 0.352 0.745
O: 0.817 0.679 0.373
O: 0.827 0.350 0.036
O: 0.829 0.324 0.434
O: 0.866 0.911 0.308
O: 0.877 0.108 0.208
O: 0.877 0.765 0.590
O: 0.885 0.919 0.597
O: 0.886 0.250 0.641
O: 0.887 0.101 0.925
O: 0.888 0.252 0.938
O: 0.895 0.428 0.540
O: 0.895 0.584 0.977
O: 0.903 0.582 0.270
O: 0.906 0.760 0.870
O: 0.907 0.431 0.249
O: 0.913 0.771 0.269
O: 0.920 0.246 0.251
O: 0.920 0.436 0.642
O: 0.922 0.122 0.309
O: 0.922 0.243 0.539
O: 0.922 0.767 0.980
O: 0.922 0.893 0.208
O: 0.924 0.114 0.593
O: 0.924 0.570 0.875
O: 0.930 0.563 0.586
O: 0.932 0.447 0.934
O: 0.938 0.912 0.926